A plane-wave DFT calculation with PBE-GGA was carried out for an optimized crystal structure of Na4Sc2P3O12.

Lattice parameters (Å, degrees): 9.3077 9.3077 21.1850 90.00 90.00 120.00
Space group R-3c (No. 167, hexagonal axes)
Unique sites:
Na: 0.0000 0.0000 0.0000 (multiplicity 6)
Na: 0.0000 0.3638 0.2500 (multiplicity 18)
Sc: 0.0000 0.0000 0.1559 (multiplicity 12)
P: 0.0000 0.3081 0.7500 (multiplicity 18)
O: 0.0087 0.1838 0.4148 (multiplicity 36)
O: 0.0136 0.2195 0.6902 (multiplicity 36)

Values from the calculation:
DFT formation energy = -2.902 eV/atom

---

A plane-wave DFT calculation with PBE-GGA was carried out for an optimized crystal structure of Cr2Ni.

Lattice parameters (Å, degrees): 6.563 6.563 6.563 90.00 90.00 90.00
Space group Fd-3m (No. 227, origin choice 2)
Unique sites:
Cr: 0.000 0.000 0.000 (multiplicity 16)
Ni: 0.125 0.125 0.625 (multiplicity 8)

Values from the calculation:
DFT formation energy = 0.270 eV/atom

---

A plane-wave DFT calculation with PBE-GGA was carried out for an optimized crystal structure of Cu2S3O12.

Lattice parameters (Å, degrees): 13.414 8.052 9.751 90.00 123.45 90.00
Space group C2/c (No. 15)
Unique sites:
Cu: 0.116 0.249 0.030 (multiplicity 8)
S: 0.000 0.468 0.250 (multiplicity 4)
S: 0.147 0.108 0.667 (multiplicity 8)
O: 0.020 0.123 0.624 (multiplicity 8)
O: 0.063 0.372 0.193 (multiplicity 8)
O: 0.097 0.425 0.886 (multiplicity 8)
O: 0.168 0.191 0.555 (multiplicity 8)
O: 0.174 0.076 0.190 (multiplicity 8)
O: 0.221 0.168 0.843 (multiplicity 8)

Values from the calculation:
E above lowest polymorph = 0.021 eV per atom
DFT formation energy = -1.441 eV/atom

---

A plane-wave DFT calculation with PBE-GGA was carried out for an optimized crystal structure of WS.

Lattice parameters (Å, degrees): 3.0255 3.0255 8.1808 90.00 90.00 120.00
Space group P6_3mc (No. 186)
Unique sites:
W: 0.3333 0.6667 0.0000 (multiplicity 2)
S: 0.3333 0.6667 0.3044 (multiplicity 2)

Values from the calculation:
DFT formation energy = -0.434 eV/atom